(1)
Computed, not measured: LiBiB2O5 after structural relaxation at the PBE level of DFT.

Its volume is 14.9 Å³/atom. Its crystal system is monoclinic. The energy above the lowest structure with this stoichiometry comes out at 39.1 meV per atom.

The space group is C2/c (No. 15) and the conventional cell measures 10.808, 10.845 and 10.574 Å, with angles of 90.00, 119.92 and 90.00 degrees. Symmetry generates all atoms from Li at (0.000, 0.109, 0.250), Li at (0.000, 0.357, 0.750), Bi at (0.177, 0.066, 0.643), B at (0.102, 0.248, 0.121), B at (0.196, 0.410, 0.013), O at (0.022, 0.140, 0.084), O at (0.100, 0.319, 0.008), O at (0.166, 0.444, 0.875), O at (0.178, 0.278, 0.266) and O at (0.192, 0.041, 0.863).

=====

(2)
Computed, not measured: Li6Bi2B4SO16 after structural relaxation at the PBE level of DFT.

Its volume is 11.3 Å³/atom. Its crystal system is cubic. The calculation puts the electronic total energy at -1476.920 eV/cell.

The space group is Fd-3 (No. 203, origin choice 2) and the conventional cell measures 13.769, 13.769 and 13.769 Å, with angles of 90.00, 90.00 and 90.00 degrees. Symmetry generates all atoms from Li at (0.089, 0.375, 0.375), Bi at (0.000, 0.000, 0.500), B at (0.022, 0.022, 0.728), S at (0.125, 0.125, 0.125), O at (0.024, 0.093, 0.799) and O at (0.062, 0.062, 0.062).